The following is a PBE-GGA calculation of a relaxed structure of SrNi2As2, from the Materials Project.

Unit cell a=5.9616 b=5.9616 c=5.9616 alpha=139.06 beta=139.06 gamma=59.28
Last column: nearest neighbours and their distance in Å.
Sites, in units of the cell vectors:
Sr 0.0000 0.0000 0.0000  8 As 3.28, 8 Ni 3.33
Ni 0.2500 0.7500 0.5000  4 As 2.38
Ni 0.7500 0.2500 0.5000  4 As 2.38
As 0.3610 0.3610 0.0000  4 Ni 2.38
As 0.6390 0.6390 0.0000  4 Ni 2.38

Calculated values
Total energy   -5.176 eV/atom
Calculated volume   18.0 Å³ per atom
Symmetry   I4/mmm, No. 139

The following is a PBE-GGA calculation of a relaxed structure of SrNi5As3, from the Materials Project.

Unit cell a=6.4016 b=6.4016 c=11.9469 alpha=90.00 beta=90.00 gamma=145.83
Last column: nearest neighbours and their distance in Å.
Sites, in units of the cell vectors:
Sr 0.1642 0.8358 0.7500  7 As 3.17-3.40, 8 Ni 3.37-3.45
Sr 0.8358 0.1642 0.2500  7 As 3.17-3.40, 8 Ni 3.37-3.45
Ni 0.0000 0.0000 0.0000  4 As 2.44, 6 Ni 2.50-2.62
Ni 0.0000 0.0000 0.5000  4 As 2.44, 6 Ni 2.50-2.62
Ni 0.1932 0.8068 0.0670  4 As 2.30-2.44, 1 Ni 2.50
Ni 0.1932 0.8068 0.4330  4 As 2.30-2.44, 1 Ni 2.50
Ni 0.4517 0.5483 0.6448  4 As 2.39-2.42, 3 Ni 2.51-2.62
Ni 0.4517 0.5483 0.8552  4 As 2.39-2.42, 3 Ni 2.51-2.62
Ni 0.5483 0.4517 0.1448  4 As 2.39-2.42, 3 Ni 2.51-2.62
Ni 0.5483 0.4517 0.3552  4 As 2.39-2.42, 3 Ni 2.51-2.62
Ni 0.8068 0.1932 0.5670  4 As 2.30-2.44, 1 Ni 2.50
Ni 0.8068 0.1932 0.9330  4 As 2.30-2.44, 1 Ni 2.50
As 0.1134 0.8866 0.2500  6 Ni 2.39-2.40
As 0.3791 0.6209 0.0408  7 Ni 2.30-2.44
As 0.3791 0.6209 0.4592  7 Ni 2.30-2.44
As 0.6209 0.3791 0.5408  7 Ni 2.30-2.44
As 0.6209 0.3791 0.9592  7 Ni 2.30-2.44
As 0.8866 0.1134 0.7500  6 Ni 2.39-2.40

Calculated values
Total energy   -5.467 eV/atom
Calculated volume   15.3 Å³ per atom
Symmetry   Cmcm, No. 63

The following is a PBE-GGA calculation of a relaxed structure of Tb2NiAs2, from the Materials Project.

Unit cell a=4.1307 b=4.1307 c=14.2255 alpha=90.00 beta=90.00 gamma=120.00
Last column: nearest neighbours and their distance in Å.
Sites, in units of the cell vectors:
Tb 0.3333 0.6667 0.0000  6 As 2.93-3.02, 3 Ni 3.16
Tb 0.3333 0.6667 0.2657  6 As 2.89-3.06, 3 Ni 2.94
Tb 0.6667 0.3333 0.5000  6 As 2.93-3.02, 3 Ni 3.16
Tb 0.6667 0.3333 0.7657  6 As 2.89-3.06, 3 Ni 2.94
Ni 0.0000 0.0000 0.1454  3 As 2.39
Ni 0.0000 0.0000 0.6454  3 As 2.39
As 0.0000 0.0000 0.3808  6 Tb 2.89-2.93
As 0.0000 0.0000 0.8808  6 Tb 2.89-2.93
As 0.3333 0.6667 0.6304  3 Ni 2.39
As 0.6667 0.3333 0.1304  3 Ni 2.39

Calculated values
Spin magnetization   0.00 Bohr magnetons per cell
Total energy   -6.116 eV/atom
Calculated volume   21.0 Å³ per atom
Symmetry   P6_3mc, No. 186

The following is a PBE-GGA calculation of a relaxed structure of Tb2NiAs2, from the Materials Project.

Unit cell a=4.1065 b=4.1065 c=14.4034 alpha=90.00 beta=90.00 gamma=120.00
Last column: nearest neighbours and their distance in Å.
Sites, in units of the cell vectors:
Tb 0.3333 0.6667 0.1171  6 As 2.91-3.05, 3 Ni 3.05
Tb 0.3333 0.6667 0.3829  6 As 2.91-3.05, 3 Ni 3.05
Tb 0.6667 0.3333 0.6171  6 As 2.91-3.05, 3 Ni 3.05
Tb 0.6667 0.3333 0.8829  6 As 2.91-3.05, 3 Ni 3.05
Ni 0.0000 0.0000 0.2500  3 As 2.37
Ni 0.0000 0.0000 0.7500  3 As 2.37
As 0.0000 0.0000 0.0000  6 Tb 2.91
As 0.0000 0.0000 0.5000  6 Tb 2.91
As 0.3333 0.6667 0.7500  3 Ni 2.37
As 0.6667 0.3333 0.2500  3 Ni 2.37

Calculated values
Total energy   -6.120 eV/atom
Calculated volume   21.0 Å³ per atom
Symmetry   P6_3/mmc, No. 194

The following is a PBE-GGA calculation of a relaxed structure of TbNi4As2, from the Materials Project.

Unit cell a=7.2525 b=7.2525 c=3.7754 alpha=90.00 beta=90.00 gamma=90.00
Last column: nearest neighbours and their distance in Å.
Sites, in units of the cell vectors:
Tb 0.0000 0.0000 0.0000  6 As 2.90-2.92, 12 Ni 3.18-3.21
Tb 0.5000 0.5000 0.5000  6 As 2.90-2.92, 12 Ni 3.18-3.21
Ni 0.0891 0.3463 0.5000  3 As 2.40-2.41, 6 Ni 2.58-2.64
Ni 0.1537 0.5891 0.0000  3 As 2.40-2.41, 6 Ni 2.58-2.64
Ni 0.3463 0.0891 0.5000  3 As 2.40-2.41, 6 Ni 2.58-2.64
Ni 0.4109 0.8463 0.0000  3 As 2.40-2.41, 6 Ni 2.58-2.64
Ni 0.5891 0.1537 0.0000  3 As 2.40-2.41, 6 Ni 2.58-2.64
Ni 0.6537 0.9109 0.5000  3 As 2.40-2.41, 6 Ni 2.58-2.64
Ni 0.8463 0.4109 0.0000  3 As 2.40-2.41, 6 Ni 2.58-2.64
Ni 0.9109 0.6537 0.5000  3 As 2.40-2.41, 6 Ni 2.58-2.64
As 0.2172 0.7828 0.5000  6 Ni 2.40-2.41
As 0.2828 0.2828 0.0000  6 Ni 2.40-2.41
As 0.7172 0.7172 0.0000  6 Ni 2.40-2.41
As 0.7828 0.2172 0.5000  6 Ni 2.40-2.41

Calculated values
Total energy   -5.926 eV/atom
Calculated volume   14.2 Å³ per atom
Symmetry   P4_2/mnm, No. 136

The following is a PBE-GGA calculation of a relaxed structure of Tb2Ni12As7, from the Materials Project.

Unit cell a=9.3507 b=9.3507 c=3.8511 alpha=90.00 beta=90.00 gamma=120.00
Last column: nearest neighbours and their distance in Å.
Sites, in units of the cell vectors:
Tb 0.0000 0.0000 0.0000  6 As 2.99, 12 Ni 3.14-3.26
Tb 0.3333 0.6667 0.5000  6 As 2.98, 9 Ni 3.07-3.22
Ni 0.0437 0.7581 0.5000  4 As 2.36-2.43
Ni 0.1068 0.3893 0.0000  4 As 2.34-2.41, 1 Ni 2.56
Ni 0.2419 0.2856 0.5000  4 As 2.36-2.43
Ni 0.2826 0.8932 0.0000  4 As 2.34-2.41, 1 Ni 2.56
Ni 0.3872 0.2045 0.0000  4 As 2.27-2.40
Ni 0.5511 0.1220 0.5000  5 As 2.42-2.62, 1 Ni 2.66
Ni 0.5708 0.4489 0.5000  5 As 2.42-2.62, 1 Ni 2.66
Ni 0.6107 0.7174 0.0000  4 As 2.34-2.41, 1 Ni 2.56
Ni 0.7144 0.9563 0.5000  4 As 2.36-2.43
Ni 0.7955 0.1827 0.0000  4 As 2.27-2.40
Ni 0.8173 0.6128 0.0000  4 As 2.27-2.40
Ni 0.8780 0.4292 0.5000  5 As 2.42-2.62, 1 Ni 2.66
As 0.0691 0.6181 0.0000  5 Ni 2.33-2.41
As 0.2601 0.0354 0.5000  7 Ni 2.36-2.43
As 0.3819 0.4510 0.0000  5 Ni 2.33-2.41
As 0.5490 0.9309 0.0000  5 Ni 2.33-2.41
As 0.6667 0.3333 0.0000  3 Ni 2.27
As 0.7753 0.7399 0.5000  7 Ni 2.36-2.43
As 0.9646 0.2247 0.5000  7 Ni 2.36-2.43

Calculated values
Total energy   -5.837 eV/atom
Calculated volume   13.9 Å³ per atom
Symmetry   P-6, No. 174

The following is a PBE-GGA calculation of a relaxed structure of TiNiAs, from the Materials Project.

Unit cell a=6.2543 b=3.7505 c=7.1350 alpha=90.00 beta=90.00 gamma=90.00
Last column: nearest neighbours and their distance in Å.
Sites, in units of the cell vectors:
Ti 0.0263 0.2500 0.1791  5 As 2.61-2.69, 5 Ni 2.83-2.90
Ti 0.4737 0.7500 0.6791  5 As 2.61-2.69, 5 Ni 2.83-2.90
Ti 0.5263 0.2500 0.3209  5 As 2.61-2.69, 5 Ni 2.83-2.90
Ti 0.9737 0.7500 0.8209  5 As 2.61-2.69, 5 Ni 2.83-2.90
Ni 0.1463 0.2500 0.5620  4 As 2.36-2.43
Ni 0.3537 0.7500 0.0620  4 As 2.36-2.43
Ni 0.6463 0.2500 0.9380  4 As 2.36-2.43
Ni 0.8537 0.7500 0.4380  4 As 2.36-2.43
As 0.2354 0.7500 0.3781  4 Ni 2.36-2.43, 1 Ti 2.61
As 0.2646 0.2500 0.8781  4 Ni 2.36-2.43, 1 Ti 2.61
As 0.7354 0.7500 0.1219  4 Ni 2.36-2.43, 1 Ti 2.61
As 0.7646 0.2500 0.6219  4 Ni 2.36-2.43, 1 Ti 2.61

Calculated values
Spin magnetization   0.00 Bohr magnetons per cell
Total energy   -6.885 eV/atom
Calculated volume   13.9 Å³ per atom
Symmetry   Pnma, No. 62

The following is a PBE-GGA calculation of a relaxed structure of TmNiAs, from the Materials Project.

Unit cell a=4.0289 b=4.0289 c=15.1804 alpha=90.00 beta=90.00 gamma=120.00
Last column: nearest neighbours and their distance in Å.
Sites, in units of the cell vectors:
Tm 0.0000 0.0000 0.0000  6 As 2.96, 6 Ni 3.11
Tm 0.0000 0.0000 0.2500  6 Ni 2.90, 6 As 3.05
Tm 0.0000 0.0000 0.5000  6 As 2.96, 6 Ni 3.11
Tm 0.0000 0.0000 0.7500  6 Ni 2.90, 6 As 3.05
Ni 0.3333 0.6667 0.1361  3 As 2.34
Ni 0.3333 0.6667 0.3639  3 As 2.34
Ni 0.6667 0.3333 0.6361  3 As 2.34
Ni 0.6667 0.3333 0.8639  3 As 2.34
As 0.3333 0.6667 0.6201  3 Ni 2.34
As 0.3333 0.6667 0.8799  3 Ni 2.34
As 0.6667 0.3333 0.1201  3 Ni 2.34
As 0.6667 0.3333 0.3799  3 Ni 2.34

Calculated values
Total energy   -6.013 eV/atom
Calculated volume   17.8 Å³ per atom
Symmetry   P6_3/mmc, No. 194

The following is a PBE-GGA calculation of a relaxed structure of Tm2NiAs2, from the Materials Project.

Unit cell a=4.0766 b=4.0766 c=13.9372 alpha=90.00 beta=90.00 gamma=120.00
Last column: nearest neighbours and their distance in Å.
Sites, in units of the cell vectors:
Tm 0.3333 0.6667 0.1176  6 As 2.87-2.99, 3 Ni 2.99
Tm 0.3333 0.6667 0.3824  6 As 2.87-2.99, 3 Ni 2.99
Tm 0.6667 0.3333 0.6176  6 As 2.87-2.99, 3 Ni 2.99
Tm 0.6667 0.3333 0.8824  6 As 2.87-2.99, 3 Ni 2.99
Ni 0.0000 0.0000 0.2500  3 As 2.35
Ni 0.0000 0.0000 0.7500  3 As 2.35
As 0.0000 0.0000 0.0000  6 Tm 2.87
As 0.0000 0.0000 0.5000  6 Tm 2.87
As 0.3333 0.6667 0.7500  3 Ni 2.35
As 0.6667 0.3333 0.2500  3 Ni 2.35

Calculated values
Total energy   -6.027 eV/atom
Calculated volume   20.1 Å³ per atom
Symmetry   P6_3/mmc, No. 194

The following is a PBE-GGA calculation of a relaxed structure of Tm2NiAs2, from the Materials Project.

Unit cell a=4.0866 b=4.0866 c=13.8068 alpha=90.00 beta=90.00 gamma=120.00
Last column: nearest neighbours and their distance in Å.
Sites, in units of the cell vectors:
Tm 0.3333 0.6667 0.0000  6 As 2.85-3.02, 3 Ni 2.87
Tm 0.3333 0.6667 0.2648  6 As 2.88-2.95, 3 Ni 3.10
Tm 0.6667 0.3333 0.5000  6 As 2.85-3.02, 3 Ni 2.87
Tm 0.6667 0.3333 0.7648  6 As 2.88-2.95, 3 Ni 3.10
Ni 0.0000 0.0000 0.1190  3 As 2.37
Ni 0.0000 0.0000 0.6190  3 As 2.37
As 0.0000 0.0000 0.3845  6 Tm 2.85-2.88
As 0.0000 0.0000 0.8845  6 Tm 2.85-2.88
As 0.3333 0.6667 0.6369  3 Ni 2.37
As 0.6667 0.3333 0.1369  3 Ni 2.37

Calculated values
Total energy   -6.025 eV/atom
Calculated volume   20.0 Å³ per atom
Symmetry   P6_3mc, No. 186

The following is a PBE-GGA calculation of a relaxed structure of TmNi4As2, from the Materials Project.

Unit cell a=7.1979 b=7.1979 c=3.7736 alpha=90.00 beta=90.00 gamma=90.00
Last column: nearest neighbours and their distance in Å.
Sites, in units of the cell vectors:
Tm 0.0000 0.0000 0.0000  6 As 2.88-2.90, 12 Ni 3.16-3.19
Tm 0.5000 0.5000 0.5000  6 As 2.88-2.90, 12 Ni 3.16-3.19
Ni 0.0893 0.3460 0.5000  3 As 2.39, 6 Ni 2.56-2.62
Ni 0.1540 0.5893 0.0000  3 As 2.39, 6 Ni 2.56-2.62
Ni 0.3460 0.0893 0.5000  3 As 2.39, 6 Ni 2.56-2.62
Ni 0.4107 0.8460 0.0000  3 As 2.39, 6 Ni 2.56-2.62
Ni 0.5893 0.1540 0.0000  3 As 2.39, 6 Ni 2.56-2.62
Ni 0.6540 0.9107 0.5000  3 As 2.39, 6 Ni 2.56-2.62
Ni 0.8460 0.4107 0.0000  3 As 2.39, 6 Ni 2.56-2.62
Ni 0.9107 0.6540 0.5000  3 As 2.39, 6 Ni 2.56-2.62
As 0.2170 0.7830 0.5000  6 Ni 2.39
As 0.2830 0.2830 0.0000  6 Ni 2.39
As 0.7170 0.7170 0.0000  6 Ni 2.39
As 0.7830 0.2170 0.5000  6 Ni 2.39

Calculated values
Total energy   -5.898 eV/atom
Calculated volume   14.0 Å³ per atom
Symmetry   P4_2/mnm, No. 136

The following is a PBE-GGA calculation of a relaxed structure of TmNiAs, from the Materials Project.

Unit cell a=4.0296 b=4.0296 c=3.8118 alpha=90.00 beta=90.00 gamma=120.00
Last column: nearest neighbours and their distance in Å.
Sites, in units of the cell vectors:
Tm 0.0000 0.0000 0.0000  6 As 3.01, 6 Ni 3.01
Ni 0.3333 0.6667 0.5000  3 As 2.33
As 0.6667 0.3333 0.5000  3 Ni 2.33

Calculated values
Total energy   -6.002 eV/atom
Calculated volume   17.9 Å³ per atom
Symmetry   P-6m2, No. 187

> Which of these has the lowest total energy?

TiNiAs